Density functional theory data (PBE) for a relaxed Ca3Sb2O7 crystal.

Structure (POSCAR):
```
Ca3Sb2O7
1.0
10.021 -2.870 0.000
10.021 2.870 0.000
0.000 0.000 5.946
Ca Sb O
6 4 14
Direct
0.045 0.569 0.618
0.231 0.769 0.500
0.431 0.955 0.618
0.569 0.045 0.118
0.769 0.231 0.000
0.955 0.431 0.118
0.151 0.643 0.057
0.357 0.849 0.057
0.643 0.151 0.557
0.849 0.357 0.557
0.029 0.130 0.252
0.054 0.350 0.510
0.130 0.029 0.752
0.319 0.423 0.349
0.350 0.054 0.010
0.377 0.623 0.114
0.423 0.319 0.849
0.577 0.681 0.349
0.623 0.377 0.614
0.650 0.946 0.510
0.681 0.577 0.849
0.870 0.971 0.252
0.946 0.650 0.010
0.971 0.870 0.752
```

Output
formation enthalpy at 0 K: -2.5730 eV/atom
uncorrected energy: -6.25 eV/atom
symmetry: No. 36